Record 1
## Rb2CaAs2 (GGA-PBE)

Data for an optimized crystal structure of Rb2CaAs2.

Results
Its formation energy is 0.406 eV/atom.

CIF file:
```
data_Rb2CaAs2
_symmetry_space_group_name_H-M 'P 4/m m m'
_symmetry_Int_Tables_number 123
_symmetry_space_group_name_Hall '-P 4 2'
_cell_length_a 3.7659
_cell_length_b 3.7659
_cell_length_c 16.9453
_cell_angle_alpha 90.00
_cell_angle_beta 90.00
_cell_angle_gamma 90.00
loop_
_atom_site_label
_atom_site_type_symbol
_atom_site_fract_x
_atom_site_fract_y
_atom_site_fract_z
_atom_site_occupancy
Rb1 Rb 0.0000 0.0000 0.1487 1
Ca1 Ca 0.0000 0.0000 0.5000 1
As1 As 0.0000 0.0000 0.3376 1
```

Record 2
## CrGa2N3 (GGA-PBE)

Data for an optimized crystal structure of CrGa2N3.

Results
Its formation energy is -0.449 eV/atom. Its energy with MP2020 corrections is -173.7 eV per cell.

CIF file:
```
data_CrGa2N3
_symmetry_space_group_name_H-M 'C m c 21'
_symmetry_Int_Tables_number 36
_cell_length_a 9.6497
_cell_length_b 5.6116
_cell_length_c 5.2105
_cell_angle_alpha 90.00
_cell_angle_beta 90.00
_cell_angle_gamma 90.00
loop_
_symmetry_equiv_pos_as_xyz
'x,y,z'
'-x,-y,z+1/2'
'-x,y,z'
'x,-y,z+1/2'
'x+1/2,y+1/2,z'
'-x+1/2,-y+1/2,z+1/2'
'-x+1/2,y+1/2,z'
'x+1/2,-y+1/2,z+1/2'
loop_
_atom_site_label
_atom_site_type_symbol
_atom_site_fract_x
_atom_site_fract_y
_atom_site_fract_z
_atom_site_occupancy
Cr1 Cr 0.0000 0.1529 0.0000 1
Ga1 Ga 0.1682 0.3377 0.4968 1
N1 N 0.0000 0.1740 0.6282 1
N2 N 0.1665 0.3325 0.1202 1
```

Record 3
## VFeSb (GGA-PBE)

Data for an optimized crystal structure of VFeSb.

Results
Its formation energy is 0.169 eV/atom. Its energy with MP2020 corrections is -84.7 eV per cell. The excess energy over the best structure of this formula in the dataset is 444.1 meV/atom.

CIF file:
```
data_VFeSb
_symmetry_space_group_name_H-M 'F -4 3 m'
_symmetry_Int_Tables_number 216
_symmetry_space_group_name_Hall 'F -4 2 3'
_cell_length_a 6.0763
_cell_length_b 6.0763
_cell_length_c 6.0763
_cell_angle_alpha 90.00
_cell_angle_beta 90.00
_cell_angle_gamma 90.00
loop_
_atom_site_label
_atom_site_type_symbol
_atom_site_fract_x
_atom_site_fract_y
_atom_site_fract_z
_atom_site_occupancy
V1 V 0.0000 0.0000 0.0000 1
Fe1 Fe 0.2500 0.2500 0.2500 1
Sb1 Sb 0.2500 0.2500 0.7500 1
```

Record 4
## Ce4Ru3 (GGA-PBE)

Data for an optimized crystal structure of Ce4Ru3.

Results
Its formation energy is -0.374 eV/atom.

CIF file:
```
data_Ce4Ru3
_symmetry_space_group_name_H-M 'C 1 2/m 1'
_symmetry_Int_Tables_number 12
_cell_length_a 8.4531
_cell_length_b 13.7072
_cell_length_c 6.0304
_cell_angle_alpha 90.00
_cell_angle_beta 117.34
_cell_angle_gamma 90.00
loop_
_symmetry_equiv_pos_as_xyz
'x,y,z'
'-x,-y,-z'
'-x,y,-z'
'x,-y,z'
'x+1/2,y+1/2,z'
'-x+1/2,-y+1/2,-z'
'-x+1/2,y+1/2,-z'
'x+1/2,-y+1/2,z'
loop_
_atom_site_label
_atom_site_type_symbol
_atom_site_fract_x
_atom_site_fract_y
_atom_site_fract_z
_atom_site_occupancy
Ce1 Ce 0.0000 0.1661 0.0000 1
Ce2 Ce 0.1513 0.5000 0.7765 1
Ce3 Ce 0.2452 0.3664 0.3345 1
Ru1 Ru 0.0067 0.0000 0.7505 1
Ru2 Ru 0.1192 0.3013 0.7553 1
```

Record 5
## Na2La2MgTi3O10 (GGA-PBE)

Data for an optimized crystal structure of Na2La2MgTi3O10.

Results
Its formation energy is -3.133 eV/atom. Its energy with MP2020 corrections is -287.4 eV per cell. The excess energy over the best structure of this formula in the dataset is 0.0 meV/atom.

CIF file:
```
data_Na2La2MgTi3O10
_symmetry_space_group_name_H-M 'I -4 m 2'
_symmetry_Int_Tables_number 119
_symmetry_space_group_name_Hall 'I -4 -2'
_cell_length_a 3.9571
_cell_length_b 3.9571
_cell_length_c 27.2742
_cell_angle_alpha 90.00
_cell_angle_beta 90.00
_cell_angle_gamma 90.00
loop_
_atom_site_label
_atom_site_type_symbol
_atom_site_fract_x
_atom_site_fract_y
_atom_site_fract_z
_atom_site_occupancy
Na1 Na 0.0000 0.0000 0.1896 1
La1 La 0.0000 0.0000 0.0728 1
Mg1 Mg 0.0000 0.5000 0.2500 1
Ti1 Ti 0.0000 0.0000 0.3535 1
Ti2 Ti 0.0000 0.0000 0.5000 1
O1 O 0.0000 0.0000 0.2788 1
O2 O 0.0000 0.0000 0.4276 1
O3 O 0.0000 0.5000 0.0000 1
O4 O 0.0000 0.5000 0.1447 1
O5 O 0.0000 0.5000 0.6373 1
```

Record 6
## Mg16TaAl12 (GGA-PBE)

Data for an optimized crystal structure of Mg16TaAl12.

Results
Its formation energy is 0.007 eV/atom.

CIF file:
```
data_Mg16TaAl12
_symmetry_space_group_name_H-M 'I -4 3 m'
_symmetry_Int_Tables_number 217
_symmetry_space_group_name_Hall 'I -4 2 3'
_cell_length_a 10.4313
_cell_length_b 10.4313
_cell_length_c 10.4313
_cell_angle_alpha 90.00
_cell_angle_beta 90.00
_cell_angle_gamma 90.00
loop_
_atom_site_label
_atom_site_type_symbol
_atom_site_fract_x
_atom_site_fract_y
_atom_site_fract_z
_atom_site_occupancy
Mg1 Mg 0.0406 0.3573 0.3573 1
Mg2 Mg 0.1719 0.1719 0.8281 1
Ta1 Ta 0.0000 0.0000 0.0000 1
Al1 Al 0.0893 0.0893 0.2734 1
```

Record 7
## KMg6TiO8 (GGA-PBE)

Data for an optimized crystal structure of KMg6TiO8.

Results
Its formation energy is -2.674 eV/atom. Its energy with MP2020 corrections is -101.0 eV per cell.

CIF file:
```
data_KMg6TiO8
_symmetry_space_group_name_H-M 'P 4/m m m'
_symmetry_Int_Tables_number 123
_symmetry_space_group_name_Hall '-P 4 2'
_cell_length_a 4.4934
_cell_length_b 4.4934
_cell_length_c 8.6314
_cell_angle_alpha 90.00
_cell_angle_beta 90.00
_cell_angle_gamma 90.00
loop_
_atom_site_label
_atom_site_type_symbol
_atom_site_fract_x
_atom_site_fract_y
_atom_site_fract_z
_atom_site_occupancy
K1 K 0.0000 0.0000 0.0000 1
Mg1 Mg 0.0000 0.5000 0.2426 1
Mg2 Mg 0.5000 0.5000 0.0000 1
Mg3 Mg 0.5000 0.5000 0.5000 1
Ti1 Ti 0.0000 0.0000 0.5000 1
O1 O 0.0000 0.0000 0.2796 1
O2 O 0.0000 0.5000 0.0000 1
O3 O 0.0000 0.5000 0.5000 1
O4 O 0.5000 0.5000 0.2532 1
```

Record 8
## Mg15V (GGA-PBE)

Data for an optimized crystal structure of Mg15V.

Results
Its formation energy is 0.080 eV/atom.

CIF file:
```
data_Mg15V
_symmetry_space_group_name_H-M 'P -6 m 2'
_symmetry_Int_Tables_number 187
_symmetry_space_group_name_Hall 'P -6 2'
_cell_length_a 6.3624
_cell_length_b 6.3624
_cell_length_c 10.1583
_cell_angle_alpha 90.00
_cell_angle_beta 90.00
_cell_angle_gamma 120.00
loop_
_atom_site_label
_atom_site_type_symbol
_atom_site_fract_x
_atom_site_fract_y
_atom_site_fract_z
_atom_site_occupancy
Mg1 Mg 0.0000 0.0000 0.0000 1
Mg2 Mg 0.0004 0.5002 0.0000 1
Mg3 Mg 0.0011 0.5005 0.5000 1
Mg4 Mg 0.1638 0.3276 0.2543 1
Mg5 Mg 0.6667 0.3333 0.2492 1
V1 V 0.0000 0.0000 0.5000 1
```

Record 9
## AuN (GGA-PBE)

Data for an optimized crystal structure of AuN.

Results
Its formation energy is 1.510 eV/atom. Its energy with MP2020 corrections is -34.4 eV per cell. The excess energy over the best structure of this formula in the dataset is 0.0 meV/atom.

CIF file:
```
data_AuN
_symmetry_space_group_name_H-M 'F m -3 m'
_symmetry_Int_Tables_number 225
_symmetry_space_group_name_Hall '-F 4 2 3'
_cell_length_a 4.6698
_cell_length_b 4.6698
_cell_length_c 4.6698
_cell_angle_alpha 90.00
_cell_angle_beta 90.00
_cell_angle_gamma 90.00
loop_
_atom_site_label
_atom_site_type_symbol
_atom_site_fract_x
_atom_site_fract_y
_atom_site_fract_z
_atom_site_occupancy
Au1 Au 0.0000 0.0000 0.0000 1
N1 N 0.0000 0.0000 0.5000 1
```

Record 10
## K2HgAuBr6 (GGA-PBE)

Data for an optimized crystal structure of K2HgAuBr6.

Results
Its formation energy is -1.150 eV/atom. Its energy with MP2020 corrections is -108.5 eV per cell.

CIF file:
```
data_K2HgAuBr6
_symmetry_space_group_name_H-M 'F m -3 m'
_symmetry_Int_Tables_number 225
_symmetry_space_group_name_Hall '-F 4 2 3'
_cell_length_a 11.0436
_cell_length_b 11.0436
_cell_length_c 11.0436
_cell_angle_alpha 90.00
_cell_angle_beta 90.00
_cell_angle_gamma 90.00
loop_
_atom_site_label
_atom_site_type_symbol
_atom_site_fract_x
_atom_site_fract_y
_atom_site_fract_z
_atom_site_occupancy
K1 K 0.2500 0.2500 0.2500 1
Hg1 Hg 0.0000 0.0000 0.0000 1
Au1 Au 0.0000 0.0000 0.5000 1
Br1 Br 0.0000 0.0000 0.2556 1
```

Record 11
## Cu4H3C2N5 (GGA-PBE)

Data for an optimized crystal structure of Cu4H3C2N5.

Results
Its formation energy is -0.026 eV/atom. Its energy with MP2020 corrections is -174.2 eV per cell.

CIF file:
```
data_Cu4H3C2N5
_symmetry_space_group_name_H-M 'P 63 m c'
_symmetry_Int_Tables_number 186
_symmetry_space_group_name_Hall 'P 6c -2c'
_cell_length_a 5.7861
_cell_length_b 5.7861
_cell_length_c 10.8626
_cell_angle_alpha 90.00
_cell_angle_beta 90.00
_cell_angle_gamma 120.00
loop_
_atom_site_label
_atom_site_type_symbol
_atom_site_fract_x
_atom_site_fract_y
_atom_site_fract_z
_atom_site_occupancy
Cu1 Cu 0.1649 0.3298 0.0000 1
Cu2 Cu 0.3333 0.6667 0.5190 1
H1 H 0.2371 0.4742 0.3066 1
C1 C 0.0000 0.0000 0.2068 1
C2 C 0.3333 0.6667 0.7990 1
N1 N 0.0000 0.0000 0.0881 1
N2 N 0.0000 0.0000 0.3170 1
N3 N 0.3333 0.6667 0.3396 1
N4 N 0.3333 0.6667 0.6895 1
N5 N 0.3333 0.6667 0.9182 1
```

Record 12
## NaLuGeO4 (GGA-PBE)

Data for an optimized crystal structure of NaLuGeO4.

Results
Its formation energy is -2.906 eV/atom. Its energy with MP2020 corrections is -202.4 eV per cell.

CIF file:
```
data_NaLuGeO4
_symmetry_space_group_name_H-M 'P n m a'
_symmetry_Int_Tables_number 62
_cell_length_a 11.3207
_cell_length_b 6.3806
_cell_length_c 5.2825
_cell_angle_alpha 90.00
_cell_angle_beta 90.00
_cell_angle_gamma 90.00
loop_
_symmetry_equiv_pos_as_xyz
'x,y,z'
'-x,-y,-z'
'-x+1/2,-y,z+1/2'
'x+1/2,y,-z+1/2'
'x+1/2,-y+1/2,-z+1/2'
'-x+1/2,y+1/2,z+1/2'
'-x,y+1/2,-z'
'x,-y+1/2,z'
loop_
_atom_site_label
_atom_site_type_symbol
_atom_site_fract_x
_atom_site_fract_y
_atom_site_fract_z
_atom_site_occupancy
Na1 Na 0.0000 0.0000 0.0000 1
Lu1 Lu 0.2235 0.2500 0.4937 1
Ge1 Ge 0.0991 0.7500 0.5502 1
O1 O 0.0470 0.2500 0.3335 1
O2 O 0.1130 0.7500 0.2214 1
O3 O 0.1773 0.5397 0.7079 1
```